# 1
A relaxed BaGeN2 crystal, computed with GGA-PBE.

## Properties
- Total moment: 0.000 μB per formula unit
- Crystal system: orthorhombic

Cell lengths 5.5931, 11.2234, 16.6628 Å; angles 90.00, 90.00, 90.00 degrees
With the nearest neighbours (Å) after each atom.
Fractional coordinates of all 64 atoms:
N 0.3258 0.3316 0.8426  2 Ge 1.90
Ge 0.7449 0.9908 0.6880  4 N 1.90-1.91
N 0.8221 0.5871 0.5966  2 Ge 1.91-1.92
N 0.4359 0.5253 0.7187  2 Ge 1.90
N 0.6742 0.6684 0.1574  2 Ge 1.90
Ge 0.3060 0.2375 0.9372  4 N 1.89-1.92
N 0.1742 0.8316 0.8426  2 Ge 1.90
Ge 0.6940 0.7375 0.5628  4 N 1.89-1.92
Ge 0.2449 0.5092 0.3120  4 N 1.90-1.91
Ge 0.7551 0.0092 0.1880  4 N 1.90-1.91
Ba 0.1631 0.7673 0.1859  7 N 2.84-3.10
N 0.8221 0.9129 0.0966  2 Ge 1.91-1.92
Ba 0.3369 0.2327 0.6859  7 N 2.84-3.10
N 0.9359 0.9747 0.2813  2 Ge 1.90
N 0.5641 0.4747 0.2813  2 Ge 1.90
N 0.1742 0.6684 0.3426  2 Ge 1.90
N 0.3796 0.7917 0.0249  2 Ge 1.89-1.90
N 0.6779 0.4129 0.0966  2 Ge 1.91-1.92
N 0.8258 0.1684 0.1574  2 Ge 1.90
N 0.9359 0.5253 0.7813  2 Ge 1.90
Ge 0.2449 0.9908 0.8120  4 N 1.90-1.91
N 0.3221 0.9129 0.4034  2 Ge 1.91-1.92
Ge 0.7551 0.4908 0.6880  4 N 1.90-1.91
N 0.1204 0.2083 0.5249  2 Ge 1.89-1.90
Ge 0.3060 0.2625 0.4372  4 N 1.89-1.92
Ge 0.7449 0.5092 0.1880  4 N 1.90-1.91
N 0.6204 0.2083 0.9751  2 Ge 1.89-1.90
N 0.8796 0.7083 0.9751  2 Ge 1.89-1.90
Ge 0.2551 0.4908 0.8120  4 N 1.90-1.91
N 0.3796 0.7083 0.5249  2 Ge 1.89-1.90
N 0.3221 0.5871 0.9034  2 Ge 1.91-1.92
N 0.0641 0.4747 0.2187  2 Ge 1.90
Ba 0.3369 0.2673 0.1859  7 N 2.84-3.10
N 0.4359 0.9747 0.2187  2 Ge 1.90
N 0.0641 0.0253 0.7187  2 Ge 1.90
Ba 0.2450 0.9802 0.5661  4 N 2.74-2.85
N 0.3258 0.1684 0.3426  2 Ge 1.90
Ge 0.8060 0.2375 0.5628  4 N 1.89-1.92
Ba 0.7550 0.0198 0.4339  4 N 2.74-2.85
N 0.6742 0.8316 0.6574  2 Ge 1.90
N 0.8796 0.7917 0.4751  2 Ge 1.89-1.90
N 0.1779 0.4129 0.4034  2 Ge 1.91-1.92
N 0.6204 0.2917 0.4751  2 Ge 1.89-1.90
N 0.1779 0.0871 0.9034  2 Ge 1.91-1.92
Ba 0.6631 0.7327 0.8141  7 N 2.84-3.10
Ba 0.6631 0.7673 0.3141  7 N 2.84-3.10
Ba 0.7450 0.9802 0.9339  4 N 2.74-2.85
Ge 0.1940 0.7625 0.4372  4 N 1.89-1.92
Ba 0.8369 0.2673 0.3141  7 N 2.84-3.10
Ba 0.7550 0.4802 0.9339  4 N 2.74-2.85
Ge 0.6940 0.7625 0.0628  4 N 1.89-1.92
N 0.5641 0.0253 0.7813  2 Ge 1.90
Ba 0.8369 0.2327 0.8141  7 N 2.84-3.10
Ge 0.2551 0.0092 0.3120  4 N 1.90-1.91
Ba 0.2450 0.5198 0.0661  4 N 2.74-2.85
Ba 0.7450 0.5198 0.4339  4 N 2.74-2.85
N 0.1204 0.2917 0.0249  2 Ge 1.89-1.90
Ba 0.1631 0.7327 0.6859  7 N 2.84-3.10
Ba 0.2550 0.0198 0.0661  4 N 2.74-2.85
Ge 0.1940 0.7375 0.9372  4 N 1.89-1.92
Ge 0.8060 0.2625 0.0628  4 N 1.89-1.92
Ba 0.2550 0.4802 0.5661  4 N 2.74-2.85
N 0.6779 0.0871 0.5966  2 Ge 1.91-1.92
N 0.8258 0.3316 0.6574  2 Ge 1.90

---

# 2
A relaxed Ba2Ca3TlCu4O11 crystal, computed with GGA-PBE.

## Properties
- Total moment: 0.002 μB per formula unit
- Crystal system: orthorhombic

Cell lengths 3.8479, 3.8616, 19.4361 Å; angles 90.00, 90.00, 90.00 degrees
With the nearest neighbours (Å) after each atom.
Fractional coordinates of all 21 atoms:
O 0.5000 0.9999 0.0821  2 Cu 1.93
O 0.5000 0.9953 0.7544  2 Cu 1.93-1.94
O 0.5000 0.9953 0.2456  2 Cu 1.93-1.94
Ca 0.0000 0.0001 0.0000  8 O 2.50
O 0.0000 0.4962 0.2449  2 Cu 1.93
O 0.5000 0.9999 0.9179  2 Cu 1.93
Ca 0.0000 0.9977 0.1708  8 O 2.40-2.60
Ca 0.0000 0.9977 0.8292  8 O 2.40-2.60
Cu 0.5000 0.4998 0.0835  4 O 1.92-1.93
O 0.5000 0.4952 0.3909  1 Tl 2.14
O 0.0000 0.4962 0.7551  2 Cu 1.93
Ba 0.0000 0.9867 0.3609  9 O 2.72-2.99
O 0.0000 0.4999 0.0818  2 Cu 1.92
Cu 0.5000 0.4998 0.9165  4 O 1.92-1.93
Tl 0.5000 0.4157 0.5000  4 O 2.14-2.35
Cu 0.5000 0.4961 0.7461  4 O 1.93-1.94
O 0.0000 0.0651 0.5000  2 Tl 2.35
O 0.0000 0.4999 0.9182  2 Cu 1.92
O 0.5000 0.4952 0.6091  1 Tl 2.14
Ba 0.0000 0.9867 0.6391  9 O 2.72-2.99
Cu 0.5000 0.4961 0.2539  4 O 1.93-1.94

---

# 3
A relaxed TcC5IO5 crystal, computed with GGA-PBE.

## Properties
- Total moment: 0.000 μB per formula unit
- Crystal system: orthorhombic

Cell lengths 6.8694, 6.8694, 11.0265 Å; angles 90.00, 90.00, 111.41 degrees
With the nearest neighbours (Å) after each atom.
Fractional coordinates of all 24 atoms:
C 0.1809 0.4474 0.3769  1 O 1.15
C 0.8191 0.5526 0.8769  1 O 1.15
O 0.6688 0.9200 0.0519  1 C 1.15
C 0.5526 0.8191 0.3769  1 O 1.15
O 0.3312 0.0800 0.9481  1 C 1.15
C 0.4474 0.1809 0.8769  1 O 1.15
I 0.3905 0.6095 0.7500  1 Tc 2.86
C 0.5526 0.8191 0.1231  1 O 1.15
O 0.0847 0.9153 0.2500  1 C 1.16
I 0.6095 0.3905 0.2500  1 Tc 2.86
C 0.4474 0.1809 0.6231  1 O 1.15
O 0.9200 0.6688 0.9481  1 C 1.15
O 0.0800 0.3312 0.4481  1 C 1.15
O 0.6688 0.9200 0.4481  1 C 1.15
O 0.9200 0.6688 0.5519  1 C 1.15
C 0.8131 0.1869 0.7500  1 O 1.16
C 0.8191 0.5526 0.6231  1 O 1.15
C 0.1809 0.4474 0.1231  1 O 1.15
O 0.9153 0.0847 0.7500  1 C 1.16
Tc 0.6422 0.3578 0.7500  5 C 1.94-2.01
Tc 0.3578 0.6422 0.2500  5 C 1.94-2.01
O 0.3312 0.0800 0.5519  1 C 1.15
O 0.0800 0.3312 0.0519  1 C 1.15
C 0.1869 0.8131 0.2500  1 O 1.16

---

# 4
A relaxed Dy2MgIn crystal, computed with GGA-PBE.

## Properties
- Crystal system: cubic

Cell lengths 5.3142, 5.3142, 5.3142 Å; angles 60.00, 60.00, 60.00 degrees
With the nearest neighbours (Å) after each atom.
Fractional coordinates of all 4 atoms:
In 0.5000 0.5000 0.5000  8 Dy 3.25
Mg 0.0000 0.0000 0.0000  8 Dy 3.25
Dy 0.2500 0.2500 0.2500  4 In 3.25, 4 Mg 3.25
Dy 0.7500 0.7500 0.7500  4 In 3.25, 4 Mg 3.25

---

# 5
A relaxed KAgC2 crystal, computed with GGA-PBE.

## Properties
- Total moment: 0.000 μB per formula unit
- Crystal system: tetragonal

Cell lengths 4.3367, 4.3367, 5.3435 Å; angles 90.00, 90.00, 90.00 degrees
With the nearest neighbours (Å) after each atom.
Fractional coordinates of all 4 atoms:
K 0.5000 0.5000 0.5000  8 C 3.13
C 0.0000 0.0000 0.3831  1 C 1.25
C 0.0000 0.0000 0.6169  1 C 1.25
Ag 0.0000 0.0000 0.0000  2 C 2.05

---

# 6
A relaxed TeMoWSeS2 crystal, computed with GGA-PBE.

## Properties
- Energy relative to the lowest polymorph listed for this composition: 54.7 meV per atom
- Total moment: 0.001 μB per formula unit
- Crystal system: trigonal

Cell lengths 3.3110, 3.3110, 37.7849 Å; angles 90.00, 90.00, 120.00 degrees
With the nearest neighbours (Å) after each atom.
Fractional coordinates of all 12 atoms:
S 0.6667 0.3333 0.1343  3 Mo 2.45
Te 0.3333 0.6667 0.7087  3 W 2.71
Se 0.6667 0.3333 0.4248  3 W 2.55
Se 0.6667 0.3333 0.5141  3 W 2.55
Mo 0.3333 0.6667 0.0939  6 S 2.45
S 0.6667 0.3333 0.0535  3 Mo 2.45
S 0.3333 0.6667 0.2413  3 Mo 2.45
W 0.3333 0.6667 0.4694  6 Se 2.55
Te 0.3333 0.6667 0.6069  3 W 2.71
S 0.3333 0.6667 0.3222  3 Mo 2.45
Mo 0.6667 0.3333 0.2818  6 S 2.45
W 0.6667 0.3333 0.6578  6 Te 2.71

---

# 7
A relaxed MgH18I2O9 crystal, computed with GGA-PBE.

## Properties
- Total moment: 0.000 μB per formula unit
- Crystal system: monoclinic

Cell lengths 6.7656, 14.7994, 15.2679 Å; angles 112.46, 90.00, 90.00 degrees
With the nearest neighbours (Å) after each atom.
Fractional coordinates of all 120 atoms:
I 0.7655 0.4641 0.3880  5 H 2.52-2.70
I 0.7659 0.2869 0.8611  5 H 2.48-2.75
O 0.7566 0.0675 0.6446  2 H 0.98-0.99
O 0.2434 0.9325 0.3554  2 H 0.98-0.99
O 0.2487 0.7920 0.7075  2 H 0.99-1.00
H 0.5498 0.9154 0.1143  1 O 0.99
O 0.2513 0.2920 0.2075  2 H 0.99-1.00
O 0.9593 0.8210 0.5786  2 H 0.99
O 0.6270 0.2449 0.4860  2 H 0.99-1.00
H 0.7861 0.7939 0.0334  1 O 1.00
H 0.7139 0.2939 0.5334  1 O 1.00
H 0.2479 0.7199 0.6766  1 O 0.99
O 0.7305 0.6788 0.6041  2 H 0.99
I 0.2345 0.5359 0.6120  5 H 2.52-2.70
H 0.9078 0.4799 0.1556  1 O 1.00
H 0.0578 0.6711 0.3511  1 O 0.99
H 0.2372 0.0322 0.5741  1 O 0.99
H 0.0498 0.5846 0.3857  1 O 0.99
H 0.3853 0.7303 0.9079  1 O 0.99
H 0.0241 0.2714 0.9760  1 O 0.99
I 0.7341 0.7869 0.3611  5 H 2.48-2.75
H 0.4949 0.4837 0.2795  1 O 0.99
H 0.6147 0.2697 0.0921  1 O 0.99
H 0.7372 0.4678 0.9259  1 O 0.99
H 0.7636 0.1921 0.2232  1 O 1.00
H 0.5992 0.6908 0.5825  1 O 0.99
H 0.9949 0.0163 0.2205  1 O 0.99
H 0.5578 0.8289 0.1489  1 O 0.99
O 0.2695 0.3212 0.3959  2 H 0.99
H 0.4008 0.3092 0.4175  1 O 0.99
H 0.2861 0.7061 0.4666  1 O 1.00
H 0.8989 0.8231 0.5204  1 O 0.99
H 0.8853 0.7697 0.5921  1 O 0.99
O 0.7250 0.5398 0.9566  2 H 0.99-1.00
H 0.2628 0.5322 0.0741  1 O 0.99
H 0.6946 0.4522 0.7182  1 O 1.00
H 0.2306 0.3865 0.4414  1 O 0.99
O 0.5407 0.3210 0.0786  2 H 0.99
H 0.1011 0.1769 0.4796  1 O 0.99
H 0.7628 0.9678 0.4259  1 O 0.99
O 0.7750 0.0398 0.4566  2 H 0.99-1.00
H 0.2521 0.2199 0.1766  1 O 0.99
H 0.3054 0.5478 0.2818  1 O 1.00
O 0.6437 0.8722 0.1298  2 H 0.99
H 0.4759 0.7714 0.4760  1 O 0.99
I 0.2655 0.0359 0.1120  5 H 2.52-2.70
H 0.3989 0.6769 0.9796  1 O 0.99
H 0.2139 0.2061 0.9666  1 O 1.00
O 0.7695 0.1788 0.1041  2 H 0.99
O 0.8961 0.0023 0.2618  2 H 0.99-1.00
O 0.4593 0.6790 0.9214  2 H 0.99
Mg 0.7631 0.1244 0.3750  6 O 2.06-2.16
O 0.8730 0.7449 0.9860  2 H 0.99-1.00
H 0.5051 0.5163 0.7205  1 O 0.99
H 0.5745 0.9286 0.7290  1 O 0.99
O 0.6039 0.5023 0.7618  2 H 0.99-1.00
H 0.3849 0.4463 0.8323  1 O 0.99
H 0.4422 0.1711 0.8511  1 O 0.99
O 0.2305 0.8212 0.8959  2 H 0.99
O 0.4855 0.0694 0.3293  2 H 0.99-1.00
O 0.7513 0.2080 0.2925  2 H 0.99-1.00
H 0.4255 0.0714 0.2710  1 O 0.99
H 0.2364 0.8079 0.7768  1 O 1.00
H 0.1147 0.2303 0.4079  1 O 0.99
H 0.4502 0.0846 0.8857  1 O 0.99
O 0.8563 0.3722 0.6298  2 H 0.99
Mg 0.2369 0.8756 0.6250  6 O 2.06-2.16
H 0.1151 0.9463 0.3323  1 O 0.99
H 0.7479 0.7801 0.8234  1 O 0.99
H 0.7798 0.6336 0.1891  1 O 0.98
O 0.0407 0.1790 0.4214  2 H 0.99
O 0.0145 0.5694 0.8293  2 H 0.99-1.00
H 0.0051 0.9837 0.7795  1 O 0.99
H 0.0922 0.5201 0.8444  1 O 1.00
H 0.5922 0.9799 0.6556  1 O 1.00
H 0.9008 0.1908 0.0825  1 O 0.99
O 0.1437 0.6278 0.3702  2 H 0.99
H 0.4078 0.0201 0.3444  1 O 1.00
O 0.3563 0.1278 0.8702  2 H 0.99
H 0.2636 0.3079 0.2768  1 O 1.00
H 0.2798 0.8664 0.3109  1 O 0.98
H 0.2685 0.4439 0.9738  1 O 1.00
H 0.7315 0.5561 0.0262  1 O 1.00
O 0.2250 0.9602 0.5434  2 H 0.99-1.00
O 0.1039 0.9977 0.7382  2 H 0.99-1.00
H 0.5241 0.2286 0.5240  1 O 0.99
I 0.2659 0.2131 0.6389  5 H 2.48-2.75
H 0.7521 0.2801 0.3234  1 O 0.99
H 0.1946 0.0478 0.7818  1 O 1.00
I 0.2341 0.7131 0.1389  5 H 2.48-2.75
O 0.3961 0.4977 0.2382  2 H 0.99-1.00
H 0.9422 0.3289 0.6489  1 O 0.99
Mg 0.7369 0.6244 0.8750  6 O 2.06-2.16
H 0.8054 0.9522 0.2182  1 O 1.00
I 0.7345 0.9641 0.8880  5 H 2.52-2.70
H 0.7685 0.0561 0.5262  1 O 1.00
H 0.0992 0.8092 0.9175  1 O 0.99
O 0.3730 0.7551 0.5140  2 H 0.99-1.00
H 0.2202 0.3664 0.8109  1 O 0.98
H 0.7694 0.6135 0.5586  1 O 0.99
H 0.6151 0.5537 0.1677  1 O 0.99
H 0.7306 0.1135 0.0586  1 O 0.99
H 0.9759 0.7286 0.0240  1 O 0.99
O 0.1270 0.2551 0.0140  2 H 0.99-1.00
H 0.7364 0.6921 0.7232  1 O 1.00
H 0.7202 0.1336 0.6891  1 O 0.98
H 0.0745 0.5714 0.7710  1 O 0.99
H 0.6011 0.3231 0.0204  1 O 0.99
O 0.7487 0.7080 0.7925  2 H 0.99-1.00
H 0.2315 0.9439 0.4738  1 O 1.00
O 0.2750 0.4602 0.0434  2 H 0.99-1.00
O 0.2566 0.4325 0.8554  2 H 0.98-0.99
H 0.9255 0.4286 0.2290  1 O 0.99
H 0.2694 0.8865 0.9414  1 O 0.99
O 0.5145 0.9306 0.6707  2 H 0.99-1.00
O 0.9855 0.4306 0.1707  2 H 0.99-1.00
H 0.8849 0.0537 0.6677  1 O 0.99
O 0.7434 0.5675 0.1446  2 H 0.98-0.99
Mg 0.2631 0.3756 0.1250  6 O 2.06-2.16
H 0.9502 0.4154 0.6143  1 O 0.99

---

# 8
A relaxed ScI2 crystal, computed with GGA-PBE.

## Properties
- Total moment: 0.986 μB per formula unit
- Crystal system: tetragonal

Cell lengths 7.2400, 7.2400, 4.1066 Å; angles 90.00, 90.00, 90.00 degrees
With the nearest neighbours (Å) after each atom.
Fractional coordinates of all 6 atoms:
I 0.7933 0.2067 0.5000  3 Sc 2.95-3.00
Sc 0.0000 0.0000 0.0000  6 I 2.95-3.00
I 0.2933 0.2933 0.0000  3 Sc 2.95-3.00
I 0.2067 0.7933 0.5000  3 Sc 2.95-3.00
Sc 0.5000 0.5000 0.5000  6 I 2.95-3.00
I 0.7067 0.7067 0.0000  3 Sc 2.95-3.00

---

# 9
A relaxed PuIrO3 crystal, computed with GGA-PBE.

## Properties
- Total moment: 0.007 μB per formula unit
- Crystal system: cubic

Cell lengths 4.1344, 4.1344, 4.1344 Å; angles 90.00, 90.00, 90.00 degrees
With the nearest neighbours (Å) after each atom.
Fractional coordinates of all 5 atoms:
O 0.0000 0.5000 0.5000  2 Pu 2.07
O 0.5000 0.5000 0.0000  2 Pu 2.07
Ir 0.0000 0.0000 0.0000  12 O 2.92
Pu 0.5000 0.5000 0.5000  6 O 2.07
O 0.5000 0.0000 0.5000  2 Pu 2.07

---

# 10
A relaxed SrZrO3 crystal, computed with GGA-PBE.

## Properties
- Crystal system: orthorhombic

Cell lengths 5.8707, 5.8707, 5.8707 Å; angles 119.74, 119.72, 90.47 degrees
With the nearest neighbours (Å) after each atom.
Fractional coordinates of all 10 atoms:
O 0.7981 0.2981 0.0000  2 Zr 2.12
O 0.2019 0.2019 0.5000  2 Zr 2.12
Sr 0.7626 0.2500 0.5126  5 O 2.51-2.63
Zr 0.0000 0.0000 0.0000  6 O 2.12-2.13
O 0.7981 0.7981 0.5000  2 Zr 2.12
O 0.3362 0.2500 0.0862  2 Zr 2.13
O 0.2019 0.7019 0.0000  2 Zr 2.12
O 0.6638 0.7500 0.9138  2 Zr 2.13
Sr 0.2374 0.7500 0.4874  5 O 2.51-2.63
Zr 0.5000 0.5000 0.0000  6 O 2.12-2.13

---

# 11
A relaxed TiOF crystal, computed with GGA-PBE.

## Properties
- Total moment: 1.000 μB per formula unit
- Crystal system: monoclinic

Cell lengths 4.7703, 5.1738, 5.7020 Å; angles 87.88, 90.00, 90.00 degrees
With the nearest neighbours (Å) after each atom.
Fractional coordinates of all 12 atoms:
F 0.7303 0.4174 0.6217  3 Ti 2.17-2.20
O 0.7346 0.9113 0.3687  3 Ti 1.90-1.97
Ti 0.9844 0.7852 0.1403  3 O 1.90-1.97
Ti 0.5156 0.7852 0.6403  3 O 1.90-1.97
Ti 0.4844 0.2148 0.3597  3 O 1.90-1.97
Ti 0.0156 0.2148 0.8597  3 O 1.90-1.97
F 0.7697 0.4174 0.1217  3 Ti 2.17-2.20
F 0.2303 0.5826 0.8783  3 Ti 2.17-2.20
O 0.2346 0.0887 0.1313  3 Ti 1.90-1.97
O 0.2654 0.0887 0.6313  3 Ti 1.90-1.97
F 0.2697 0.5826 0.3783  3 Ti 2.17-2.20
O 0.7654 0.9113 0.8687  3 Ti 1.90-1.97

---

# 12
A relaxed SnO2 crystal, computed with GGA-PBE.

## Properties
- Total moment: 0.000 μB per formula unit
- Crystal system: trigonal

Cell lengths 5.1510, 5.1510, 5.1510 Å; angles 36.59, 36.59, 36.59 degrees
With the nearest neighbours (Å) after each atom.
Fractional coordinates of all 3 atoms:
O 0.7628 0.7628 0.7628  3 Sn 2.13
O 0.2372 0.2372 0.2372  3 Sn 2.13
Sn 0.5000 0.5000 0.5000  6 O 2.13

---

# 13
A relaxed NdDy crystal, computed with GGA-PBE.

## Properties
- Total moment: 0.016 μB per formula unit
- Crystal system: trigonal

Cell lengths 17.8347, 17.8347, 17.8347 Å; angles 11.69, 11.69, 11.69 degrees
With the nearest neighbours (Å) after each atom.
Fractional coordinates of all 6 atoms:
Nd 0.1122 0.1122 0.1122  3 Dy 3.58, 9 Nd 3.63-3.71
Dy 0.9989 0.9989 0.9989  9 Dy 3.54-3.63, 3 Nd 3.62
Dy 0.5002 0.5002 0.5002  6 Nd 3.58-3.61, 6 Dy 3.63
Nd 0.8889 0.8889 0.8889  6 Dy 3.61-3.66, 6 Nd 3.63
Dy 0.6120 0.6120 0.6120  9 Dy 3.54-3.63, 3 Nd 3.66
Nd 0.3878 0.3878 0.3878  3 Dy 3.62, 9 Nd 3.63-3.71

---

| no. | E_tot (eV/atom) | formation energy from the elements (eV/atom) |
| --- | --- | --- |
| 1 | -6.223 | -0.6000 |
| 2 | -5.640 | -2.0457 |
| 3 | -7.595 | -0.9838 |
| 4 | -3.705 | -0.3136 |
| 5 | -5.245 | 0.3549 |
| 6 | -6.991 | -0.7055 |
| 7 | -4.750 | -1.2814 |
| 8 | -4.136 | -1.2617 |
| 9 | -8.349 | -1.1712 |
| 10 | -8.260 | -3.6565 |
| 11 | -7.959 | -3.4225 |
| 12 | -6.131 | -1.9542 |
| 13 | -4.643 | 0.0446 |